No. 1
# CoB10H26O8 GGA+U optimized geometry
# DFT formation energy (eV per atom): -0.692
data_CoB10H26O8
_chemical_formula_sum 'Co2 B20 H52 O16'
_symmetry_space_group_name_H-M 'P 1'
_symmetry_Int_Tables_number 1
_cell_length_a 7.3075
_cell_length_b 7.3075
_cell_length_c 18.7530
_cell_angle_alpha 103.13
_cell_angle_beta 103.13
_cell_angle_gamma 54.36
loop_
_symmetry_equiv_pos_as_xyz
'x,y,z'
loop_
_atom_site_label
_atom_site_fract_x
_atom_site_fract_y
_atom_site_fract_z
_atom_site_occupancy
Co1 0.0000 0.5000 0.0000 1
Co2 0.5000 0.0000 0.5000 1
B1 0.0071 0.1964 0.2355 1
B2 0.0231 0.0413 0.7987 1
B3 0.0413 0.0231 0.2987 1
B4 0.1526 0.8128 0.8453 1
B5 0.1582 0.6674 0.6873 1
B6 0.1872 0.8474 0.6547 1
B7 0.1964 0.0071 0.7355 1
B8 0.3036 0.6041 0.7787 1
B9 0.3326 0.8418 0.8127 1
B10 0.3959 0.6964 0.7213 1
B11 0.6041 0.3036 0.2787 1
B12 0.6674 0.1582 0.1873 1
B13 0.6964 0.3959 0.2213 1
B14 0.8036 0.9929 0.2645 1
B15 0.8128 0.1526 0.3453 1
B16 0.8418 0.3326 0.3127 1
B17 0.8474 0.1872 0.1547 1
B18 0.9587 0.9769 0.7013 1
B19 0.9769 0.9587 0.2013 1
B20 0.9929 0.8036 0.7645 1
H1 0.0449 0.2408 0.5290 1
H2 0.0486 0.3646 0.8535 1
H3 0.0669 0.1573 0.4438 1
H4 0.0833 0.5660 0.8722 1
H5 0.1051 0.6816 0.3676 1
H6 0.1060 0.7697 0.1730 1
H7 0.1420 0.8020 0.9072 1
H8 0.1429 0.5232 0.6458 1
H9 0.1573 0.0669 0.9438 1
H10 0.1603 0.2154 0.2360 1
H11 0.1980 0.8580 0.5928 1
H12 0.2154 0.1603 0.7360 1
H13 0.2303 0.8940 0.3270 1
H14 0.2408 0.0449 0.0290 1
H15 0.2446 0.4674 0.4105 1
H16 0.3167 0.6060 0.0571 1
H17 0.3184 0.8949 0.1324 1
H18 0.3646 0.0486 0.3535 1
H19 0.3744 0.4054 0.5840 1
H20 0.3940 0.6833 0.4429 1
H21 0.4054 0.3744 0.0840 1
H22 0.4093 0.4222 0.2899 1
H23 0.4222 0.4093 0.7899 1
H24 0.4340 0.9167 0.6278 1
H25 0.4674 0.2446 0.9105 1
H26 0.4768 0.8571 0.8542 1
H27 0.5232 0.1429 0.1458 1
H28 0.5326 0.7554 0.0895 1
H29 0.5660 0.0833 0.3722 1
H30 0.5778 0.5907 0.2101 1
H31 0.5907 0.5778 0.7101 1
H32 0.5946 0.6256 0.9160 1
H33 0.6060 0.3167 0.5571 1
H34 0.6256 0.5946 0.4160 1
H35 0.6354 0.9514 0.6465 1
H36 0.6816 0.1051 0.8676 1
H37 0.6833 0.3940 0.9429 1
H38 0.7554 0.5326 0.5895 1
H39 0.7592 0.9551 0.9710 1
H40 0.7697 0.1060 0.6730 1
H41 0.7846 0.8397 0.2640 1
H42 0.8020 0.1420 0.4072 1
H43 0.8397 0.7846 0.7640 1
H44 0.8427 0.9331 0.0562 1
H45 0.8571 0.4768 0.3542 1
H46 0.8580 0.1980 0.0928 1
H47 0.8940 0.2303 0.8270 1
H48 0.8949 0.3184 0.6324 1
H49 0.9167 0.4340 0.1278 1
H50 0.9331 0.8427 0.5562 1
H51 0.9514 0.6354 0.1465 1
H52 0.9551 0.7592 0.4710 1
O1 0.1021 0.4430 0.8931 1
O2 0.1520 0.1700 0.4912 1
O3 0.1690 0.6331 0.4169 1
O4 0.1700 0.1520 0.9912 1
O5 0.3048 0.4735 0.0454 1
O6 0.3669 0.8310 0.0831 1
O7 0.4430 0.1021 0.3931 1
O8 0.4735 0.3048 0.5454 1
O9 0.5265 0.6952 0.4546 1
O10 0.5570 0.8979 0.6069 1
O11 0.6331 0.1690 0.9169 1
O12 0.6952 0.5265 0.9546 1
O13 0.8300 0.8480 0.0088 1
O14 0.8310 0.3669 0.5831 1
O15 0.8480 0.8300 0.5088 1
O16 0.8979 0.5570 0.1069 1



No. 2
# LiFePO5 GGA+U optimized geometry
# DFT formation energy (eV per atom): -2.157
# Energy above the most stable polymorph in this dataset (meV/atom): 17
data_LiFePO5
_chemical_formula_sum 'Li4 Fe4 P4 O20'
_symmetry_space_group_name_H-M 'P 1'
_symmetry_Int_Tables_number 1
_cell_length_a 7.5976
_cell_length_b 6.1476
_cell_length_c 7.8527
_cell_angle_alpha 90.00
_cell_angle_beta 90.00
_cell_angle_gamma 90.00
loop_
_symmetry_equiv_pos_as_xyz
'x,y,z'
loop_
_atom_site_label
_atom_site_fract_x
_atom_site_fract_y
_atom_site_fract_z
_atom_site_occupancy
Li1 0.1431 0.2500 0.1695 1
Li2 0.3569 0.7500 0.6695 1
Li3 0.6431 0.2500 0.3305 1
Li4 0.8569 0.7500 0.8305 1
Fe1 0.0000 0.0000 0.5000 1
Fe2 0.0000 0.5000 0.5000 1
Fe3 0.5000 0.0000 0.0000 1
Fe4 0.5000 0.5000 0.0000 1
P1 0.1310 0.7500 0.1639 1
P2 0.3690 0.2500 0.6639 1
P3 0.6310 0.7500 0.3361 1
P4 0.8690 0.2500 0.8361 1
O1 0.0175 0.2500 0.9619 1
O2 0.1054 0.7500 0.5942 1
O3 0.1240 0.5419 0.2782 1
O4 0.1240 0.9581 0.2782 1
O5 0.1836 0.2500 0.5728 1
O6 0.3164 0.7500 0.0728 1
O7 0.3760 0.0419 0.7782 1
O8 0.3760 0.4581 0.7782 1
O9 0.3946 0.2500 0.0942 1
O10 0.4825 0.7500 0.4619 1
O11 0.5175 0.2500 0.5381 1
O12 0.6054 0.7500 0.9058 1
O13 0.6240 0.5419 0.2218 1
O14 0.6240 0.9581 0.2218 1
O15 0.6836 0.2500 0.9272 1
O16 0.8164 0.7500 0.4272 1
O17 0.8760 0.0419 0.7218 1
O18 0.8760 0.4581 0.7218 1
O19 0.8946 0.2500 0.4058 1
O20 0.9825 0.7500 0.0381 1



No. 3
# MgMn6O10F2 GGA+U optimized geometry
# DFT formation energy (eV per atom): -2.095
# Energy above the most stable polymorph in this dataset (meV/atom): 36
data_MgMn6O10F2
_chemical_formula_sum 'Mg1 Mn6 O10 F2'
_symmetry_space_group_name_H-M 'P 1'
_symmetry_Int_Tables_number 1
_cell_length_a 5.7146
_cell_length_b 5.9284
_cell_length_c 7.6905
_cell_angle_alpha 106.52
_cell_angle_beta 98.68
_cell_angle_gamma 113.19
loop_
_symmetry_equiv_pos_as_xyz
'x,y,z'
loop_
_atom_site_label
_atom_site_fract_x
_atom_site_fract_y
_atom_site_fract_z
_atom_site_occupancy
Mg1 0.0000 0.0000 0.0000 1
Mn1 0.3113 0.5226 0.3664 1
Mn2 0.3533 0.9621 0.8180 1
Mn3 0.6177 0.9695 0.1612 1
Mn4 0.6606 0.4426 0.6376 1
Mn5 0.9604 0.5124 0.0232 1
Mn6 0.9990 0.9469 0.4733 1
O1 0.0126 0.6758 0.8304 1
O2 0.2341 0.8040 0.5490 1
O3 0.2870 0.2856 0.5014 1
O4 0.3320 0.6747 0.1694 1
O5 0.4023 0.1190 0.0880 1
O6 0.5751 0.8270 0.8959 1
O7 0.6337 0.2709 0.8210 1
O8 0.6873 0.6646 0.4915 1
O9 0.8674 0.8212 0.1854 1
O10 0.9496 0.2912 0.1719 1
F1 0.1031 0.1282 0.7945 1
F2 0.7374 0.1374 0.4412 1



No. 4
# Li2CoNi3O8 GGA+U optimized geometry
# DFT formation energy (eV per atom): -1.246
# Energy above the most stable polymorph in this dataset (meV/atom): 46
data_Li2CoNi3O8
_chemical_formula_sum 'Li8 Co4 Ni12 O32'
_symmetry_space_group_name_H-M 'P 1'
_symmetry_Int_Tables_number 1
_cell_length_a 8.1791
_cell_length_b 8.1791
_cell_length_c 8.0964
_cell_angle_alpha 90.00
_cell_angle_beta 90.00
_cell_angle_gamma 90.00
loop_
_symmetry_equiv_pos_as_xyz
'x,y,z'
loop_
_atom_site_label
_atom_site_fract_x
_atom_site_fract_y
_atom_site_fract_z
_atom_site_occupancy
Li1 0.0007 0.2501 0.1258 1
Li2 0.2501 0.0007 0.8742 1
Li3 0.2499 0.5007 0.3758 1
Li4 0.4993 0.7501 0.1242 1
Li5 0.5007 0.2499 0.6242 1
Li6 0.7501 0.4993 0.8758 1
Li7 0.7499 0.9993 0.3742 1
Li8 0.9993 0.7499 0.6258 1
Co1 0.1251 0.1251 0.5000 1
Co2 0.3749 0.6251 0.7500 1
Co3 0.6251 0.3749 0.2500 1
Co4 0.8749 0.8749 0.0000 1
Ni1 0.1222 0.8778 0.2500 1
Ni2 0.1236 0.6261 0.9986 1
Ni3 0.1261 0.3764 0.7486 1
Ni4 0.3739 0.8764 0.5014 1
Ni5 0.3764 0.1261 0.2514 1
Ni6 0.3778 0.3778 0.0000 1
Ni7 0.6222 0.6222 0.5000 1
Ni8 0.6236 0.8739 0.7514 1
Ni9 0.6261 0.1236 0.0014 1
Ni10 0.8739 0.6236 0.2486 1
Ni11 0.8764 0.3739 0.4986 1
Ni12 0.8778 0.1222 0.7500 1
O1 0.1091 0.1390 0.7345 1
O2 0.1102 0.6440 0.2346 1
O3 0.1101 0.8678 0.0156 1
O4 0.1160 0.3604 0.5146 1
O5 0.1322 0.8899 0.4844 1
O6 0.1390 0.1091 0.2655 1
O7 0.1396 0.6160 0.7646 1
O8 0.1440 0.3898 0.9846 1
O9 0.3560 0.8898 0.2654 1
O10 0.3604 0.1160 0.4854 1
O11 0.3610 0.6091 0.9845 1
O12 0.3678 0.3899 0.7656 1
O13 0.3840 0.8604 0.7354 1
O14 0.3898 0.1440 0.0154 1
O15 0.3899 0.3678 0.2344 1
O16 0.3909 0.6390 0.5155 1
O17 0.6091 0.3610 0.0155 1
O18 0.6101 0.6322 0.7344 1
O19 0.6102 0.8560 0.5154 1
O20 0.6160 0.1396 0.2354 1
O21 0.6322 0.6101 0.2656 1
O22 0.6390 0.3909 0.4845 1
O23 0.6396 0.8840 0.9854 1
O24 0.6440 0.1102 0.7654 1
O25 0.8560 0.6102 0.4846 1
O26 0.8604 0.3840 0.2646 1
O27 0.8610 0.8909 0.7655 1
O28 0.8678 0.1101 0.9844 1
O29 0.8840 0.6396 0.0146 1
O30 0.8899 0.1322 0.5156 1
O31 0.8898 0.3560 0.7346 1
O32 0.8909 0.8610 0.2345 1



No. 5
# AlCu3Mo4O12 GGA+U optimized geometry
# DFT formation energy (eV per atom): -1.556
data_AlCu3Mo4O12
_chemical_formula_sum 'Al1 Cu3 Mo4 O12'
_symmetry_space_group_name_H-M 'P 1'
_symmetry_Int_Tables_number 1
_cell_length_a 6.6399
_cell_length_b 6.6399
_cell_length_c 6.6399
_cell_angle_alpha 109.47
_cell_angle_beta 109.47
_cell_angle_gamma 109.47
loop_
_symmetry_equiv_pos_as_xyz
'x,y,z'
loop_
_atom_site_label
_atom_site_fract_x
_atom_site_fract_y
_atom_site_fract_z
_atom_site_occupancy
Al1 0.0000 0.0000 0.0000 1
Cu1 0.0000 0.5000 0.5000 1
Cu2 0.5000 0.0000 0.5000 1
Cu3 0.5000 0.5000 0.0000 1
Mo1 0.0000 0.0000 0.5000 1
Mo2 0.0000 0.5000 0.0000 1
Mo3 0.5000 0.0000 0.0000 1
Mo4 0.5000 0.5000 0.5000 1
O1 0.1340 0.3034 0.8306 1
O2 0.1694 0.4728 0.3034 1
O3 0.1694 0.8660 0.6966 1
O4 0.3034 0.1694 0.4728 1
O5 0.3034 0.8306 0.1340 1
O6 0.4728 0.3034 0.1694 1
O7 0.5272 0.6966 0.8306 1
O8 0.6966 0.1694 0.8660 1
O9 0.6966 0.8306 0.5272 1
O10 0.8306 0.1340 0.3034 1
O11 0.8306 0.5272 0.6966 1
O12 0.8660 0.6966 0.1694 1



No. 6
# Li3Co2Si2O8 GGA+U optimized geometry
# DFT formation energy (eV per atom): -2.410
# Energy above the most stable polymorph in this dataset (meV/atom): 0
data_Li3Co2Si2O8
_chemical_formula_sum 'Li3 Co2 Si2 O8'
_symmetry_space_group_name_H-M 'P 1'
_symmetry_Int_Tables_number 1
_cell_length_a 5.0563
_cell_length_b 5.3398
_cell_length_c 6.4304
_cell_angle_alpha 89.72
_cell_angle_beta 89.56
_cell_angle_gamma 89.38
loop_
_symmetry_equiv_pos_as_xyz
'x,y,z'
loop_
_atom_site_label
_atom_site_fract_x
_atom_site_fract_y
_atom_site_fract_z
_atom_site_occupancy
Li1 0.0000 0.0000 0.0000 1
Li2 0.0115 0.5280 0.7409 1
Li3 0.5018 0.3519 0.4939 1
Co1 0.5046 0.3530 0.9970 1
Co2 0.9979 0.0058 0.4840 1
Si1 0.0036 0.5041 0.2453 1
Si2 0.4944 0.8666 0.7470 1
O1 0.0616 0.8002 0.2413 1
O2 0.1104 0.3670 0.4598 1
O3 0.1308 0.3704 0.0288 1
O4 0.1689 0.8681 0.7422 1
O5 0.5975 0.0216 0.9544 1
O6 0.5989 0.5681 0.7687 1
O7 0.6176 0.0062 0.5449 1
O8 0.6817 0.4477 0.2326 1



No. 7
# ErVO2 GGA+U optimized geometry
# DFT formation energy (eV per atom): -2.562
data_ErVO2
_chemical_formula_sum 'Er4 V4 O8'
_symmetry_space_group_name_H-M 'P 1'
_symmetry_Int_Tables_number 1
_cell_length_a 7.2126
_cell_length_b 7.2126
_cell_length_c 7.2126
_cell_angle_alpha 129.22
_cell_angle_beta 129.22
_cell_angle_gamma 74.66
loop_
_symmetry_equiv_pos_as_xyz
'x,y,z'
loop_
_atom_site_label
_atom_site_fract_x
_atom_site_fract_y
_atom_site_fract_z
_atom_site_occupancy
Er1 0.0000 0.0000 0.0000 1
Er2 0.0000 0.0000 0.5000 1
Er3 0.0000 0.5000 0.0000 1
Er4 0.5000 0.0000 0.5000 1
V1 0.0000 0.5000 0.5000 1
V2 0.5000 0.0000 0.0000 1
V3 0.5000 0.5000 0.0000 1
V4 0.5000 0.5000 0.5000 1
O1 0.2021 0.2141 0.5121 1
O2 0.2021 0.6900 0.9879 1
O3 0.2141 0.2021 0.0121 1
O4 0.3100 0.7979 0.5121 1
O5 0.6900 0.2021 0.4879 1
O6 0.7859 0.7979 0.9879 1
O7 0.7979 0.3100 0.0121 1
O8 0.7979 0.7859 0.4879 1



No. 8
# Rb2Na4Co2O5 GGA+U optimized geometry
# DFT formation energy (eV per atom): -1.446
data_Rb2Na4Co2O5
_chemical_formula_sum 'Rb4 Na8 Co4 O10'
_symmetry_space_group_name_H-M 'P 1'
_symmetry_Int_Tables_number 1
_cell_length_a 6.5268
_cell_length_b 6.5268
_cell_length_c 10.3460
_cell_angle_alpha 90.00
_cell_angle_beta 90.00
_cell_angle_gamma 90.00
loop_
_symmetry_equiv_pos_as_xyz
'x,y,z'
loop_
_atom_site_label
_atom_site_fract_x
_atom_site_fract_y
_atom_site_fract_z
_atom_site_occupancy
Rb1 0.1964 0.1964 0.0000 1
Rb2 0.3036 0.6964 0.5000 1
Rb3 0.6964 0.3036 0.5000 1
Rb4 0.8036 0.8036 0.0000 1
Na1 0.0000 0.0000 0.2775 1
Na2 0.0000 0.0000 0.7225 1
Na3 0.0000 0.5000 0.2500 1
Na4 0.0000 0.5000 0.7500 1
Na5 0.5000 0.0000 0.2500 1
Na6 0.5000 0.0000 0.7500 1
Na7 0.5000 0.5000 0.2225 1
Na8 0.5000 0.5000 0.7775 1
Co1 0.2100 0.2100 0.5000 1
Co2 0.2900 0.7100 0.0000 1
Co3 0.7100 0.2900 0.0000 1
Co4 0.7900 0.7900 0.5000 1
O1 0.0000 0.0000 0.5000 1
O2 0.2184 0.7816 0.1643 1
O3 0.2184 0.7816 0.8357 1
O4 0.2816 0.2816 0.3357 1
O5 0.2816 0.2816 0.6643 1
O6 0.5000 0.5000 0.0000 1
O7 0.7184 0.7184 0.3357 1
O8 0.7184 0.7184 0.6643 1
O9 0.7816 0.2184 0.1643 1
O10 0.7816 0.2184 0.8357 1



No. 9
# Rb2MoI6O18 GGA+U optimized geometry
# DFT formation energy (eV per atom): -1.157
data_Rb2MoI6O18
_chemical_formula_sum 'Rb2 Mo1 I6 O18'
_symmetry_space_group_name_H-M 'P 1'
_symmetry_Int_Tables_number 1
_cell_length_a 7.8424
_cell_length_b 7.8424
_cell_length_c 7.8424
_cell_angle_alpha 97.14
_cell_angle_beta 97.14
_cell_angle_gamma 97.14
loop_
_symmetry_equiv_pos_as_xyz
'x,y,z'
loop_
_atom_site_label
_atom_site_fract_x
_atom_site_fract_y
_atom_site_fract_z
_atom_site_occupancy
Rb1 0.1687 0.1687 0.1687 1
Rb2 0.8313 0.8313 0.8313 1
Mo1 0.5000 0.5000 0.5000 1
I1 0.1324 0.3317 0.7040 1
I2 0.2960 0.8676 0.6683 1
I3 0.3317 0.7040 0.1324 1
I4 0.6683 0.2960 0.8676 1
I5 0.7040 0.1324 0.3317 1
I6 0.8676 0.6683 0.2960 1
O1 0.0889 0.0966 0.6900 1
O2 0.0959 0.7138 0.6105 1
O3 0.0966 0.6900 0.0889 1
O4 0.2862 0.3895 0.9041 1
O5 0.3048 0.3221 0.5536 1
O6 0.3100 0.9111 0.9034 1
O7 0.3221 0.5536 0.3048 1
O8 0.3895 0.9041 0.2862 1
O9 0.4464 0.6952 0.6779 1
O10 0.5536 0.3048 0.3221 1
O11 0.6105 0.0959 0.7138 1
O12 0.6779 0.4464 0.6952 1
O13 0.6900 0.0889 0.0966 1
O14 0.6952 0.6779 0.4464 1
O15 0.7138 0.6105 0.0959 1
O16 0.9034 0.3100 0.9111 1
O17 0.9041 0.2862 0.3895 1
O18 0.9111 0.9034 0.3100 1



No. 10
# VAs2H4O9 GGA+U optimized geometry
# DFT formation energy (eV per atom): -1.578
# Energy above the most stable polymorph in this dataset (meV/atom): 68
data_VAs2H4O9
_chemical_formula_sum 'V2 As4 H8 O18'
_symmetry_space_group_name_H-M 'P 1'
_symmetry_Int_Tables_number 1
_cell_length_a 7.8419
_cell_length_b 7.8419
_cell_length_c 7.8419
_cell_angle_alpha 105.92
_cell_angle_beta 105.92
_cell_angle_gamma 116.84
loop_
_symmetry_equiv_pos_as_xyz
'x,y,z'
loop_
_atom_site_label
_atom_site_fract_x
_atom_site_fract_y
_atom_site_fract_z
_atom_site_occupancy
V1 0.0000 0.0000 0.0000 1
V2 0.5000 0.5000 0.0000 1
As1 0.1616 0.2574 0.5000 1
As2 0.2574 0.7574 0.0957 1
As3 0.6616 0.1616 0.9043 1
As4 0.7574 0.6616 0.5000 1
H1 0.0542 0.5542 0.2248 1
H2 0.0900 0.8619 0.5000 1
H3 0.3295 0.8295 0.7752 1
H4 0.3619 0.5900 0.5000 1
H5 0.5542 0.3295 0.5000 1
H6 0.5900 0.0900 0.2282 1
H7 0.8295 0.0542 0.5000 1
H8 0.8619 0.3619 0.7718 1
O1 0.0006 0.7248 0.5000 1
O2 0.0782 0.7811 0.9409 1
O3 0.1373 0.0782 0.2971 1
O4 0.1917 0.6917 0.2737 1
O5 0.2015 0.2015 0.0000 1
O6 0.2248 0.5006 0.5000 1
O7 0.2811 0.5782 0.9409 1
O8 0.3403 0.2811 0.7029 1
O9 0.4179 0.9179 0.7263 1
O10 0.5006 0.0006 0.2758 1
O11 0.5782 0.6373 0.2971 1
O12 0.6373 0.3403 0.0591 1
O13 0.6917 0.4179 0.5000 1
O14 0.7015 0.7015 0.0000 1
O15 0.7248 0.2248 0.7242 1
O16 0.7811 0.8403 0.7029 1
O17 0.8403 0.1373 0.0591 1
O18 0.9179 0.1917 0.5000 1